The following is a DFT calculation (r2SCAN) of crystalline Mn3Fe at its relaxed geometry.

Output
Space group: Pmmm (47)
Energy of formation from the pure elements (eV per atom): 0.0377

Lattice parameters (Å, degrees): 2.6930 3.7650 5.2774 90.00 90.00 90.00
Atoms (fractional coordinates):
Mn  0.0000  0.0000  0.0000
Mn  0.5000  0.5000  0.2539
Mn  0.5000  0.5000  0.7461
Fe  0.0000  0.0000  0.5000